Run one
S after structural relaxation. Source: the Materials Project, functional r²SCAN.

Values from the calculation:
As for the mass density: 1.9 Mg/m³.

Cell: 4.811 9.269 14.909 Å, 90.00 90.00 90.00°
Positions (direct):
S  0.008  0.312  0.888
S  0.500  0.500  0.276
S  0.226  0.731  0.000
S  0.992  0.688  0.112
S  0.767  0.869  0.858
S  0.492  0.812  0.612
S  0.267  0.631  0.642
S  0.500  0.500  0.724
S  0.508  0.188  0.388
S  0.492  0.812  0.388
S  0.267  0.631  0.358
S  0.733  0.369  0.358
S  0.274  0.231  0.500
S  0.000  0.000  0.224
S  0.000  0.000  0.776
S  0.233  0.131  0.142
S  0.508  0.188  0.612
S  0.992  0.688  0.888
S  0.233  0.131  0.858
S  0.733  0.369  0.642
S  0.726  0.769  0.500
S  0.767  0.869  0.142
S  0.008  0.312  0.112
S  0.774  0.269  0.000

Run two
S after structural relaxation. Source: the Materials Project, functional r²SCAN.

Values from the calculation:
As for the mass density: 2.0 Mg/m³.

Cell: 9.035 9.712 11.032 Å, 116.12 99.61 90.00°
Positions (direct):
S  0.150  0.039  0.913
S  0.297  0.411  0.922
S  0.032  0.761  0.396
S  0.068  0.556  0.240
S  0.254  0.461  0.295
S  0.316  0.450  0.595
S  0.432  0.815  0.760
S  0.684  0.550  0.405
S  0.754  0.334  0.295
S  0.568  0.185  0.240
S  0.746  0.539  0.705
S  0.350  0.626  0.087
S  0.203  0.989  0.078
S  0.530  0.714  0.042
S  0.850  0.961  0.087
S  0.932  0.444  0.760
S  0.970  0.171  0.958
S  0.650  0.374  0.913
S  0.246  0.666  0.705
S  0.703  0.589  0.078
S  0.687  0.979  0.403
S  0.816  0.645  0.595
S  0.030  0.829  0.042
S  0.184  0.355  0.405
S  0.313  0.021  0.597
S  0.797  0.011  0.922
S  0.532  0.134  0.396
S  0.813  0.076  0.597
S  0.470  0.286  0.958
S  0.468  0.866  0.604
S  0.968  0.239  0.604
S  0.187  0.924  0.403

Which of them is most stable? Easy: run one.

Run one
S after structural relaxation. Source: the Materials Project, functional r²SCAN.

Values from the calculation:
As for the mass density: 1.9 Mg/m³.

Cell: 7.410 10.808 12.416 Å, 92.55 90.00 90.00°
Positions (direct):
S  0.482  0.712  0.563
S  0.415  0.307  0.590
S  0.511  0.984  0.336
S  0.018  0.212  0.063
S  0.989  0.484  0.836
S  0.064  0.302  0.812
S  0.940  0.816  0.649
S  0.267  0.989  0.758
S  0.440  0.684  0.851
S  0.250  0.109  0.069
S  0.585  0.693  0.410
S  0.915  0.193  0.910
S  0.044  0.991  0.658
S  0.564  0.198  0.688
S  0.544  0.782  0.983
S  0.456  0.491  0.158
S  0.085  0.807  0.090
S  0.750  0.891  0.931
S  0.560  0.316  0.149
S  0.750  0.391  0.431
S  0.011  0.516  0.164
S  0.436  0.802  0.312
S  0.518  0.288  0.437
S  0.456  0.218  0.017
S  0.489  0.016  0.664
S  0.060  0.184  0.351
S  0.956  0.009  0.342
S  0.733  0.011  0.242
S  0.233  0.489  0.258
S  0.936  0.698  0.188
S  0.250  0.609  0.569
S  0.767  0.511  0.742
S  0.044  0.718  0.517
S  0.982  0.788  0.937
S  0.544  0.509  0.842
S  0.956  0.282  0.483

Run two
S after structural relaxation. Source: the Materials Project, functional r²SCAN.

Values from the calculation:
As for the mass density: 1.9 Mg/m³.

Cell: 9.500 14.004 17.917 Å, 67.78 90.00 90.00°
Positions (direct):
S  0.010  0.000  0.000
S  0.514  0.000  0.500
S  0.211  0.500  0.000
S  0.714  0.500  0.500
S  0.641  0.127  0.450
S  0.641  0.873  0.550
S  0.681  0.185  0.537
S  0.681  0.815  0.463
S  0.525  0.290  0.530
S  0.525  0.710  0.470
S  0.586  0.429  0.444
S  0.586  0.571  0.556
S  0.059  0.071  0.453
S  0.059  0.929  0.547
S  0.208  0.160  0.479
S  0.208  0.840  0.521
S  0.116  0.220  0.555
S  0.116  0.780  0.445
S  0.014  0.353  0.484
S  0.014  0.647  0.516
S  0.158  0.529  0.545
S  0.158  0.471  0.455
S  0.786  0.045  0.303
S  0.786  0.955  0.697
S  0.716  0.014  0.779
S  0.716  0.986  0.221
S  0.871  0.111  0.789
S  0.871  0.889  0.211
S  0.841  0.252  0.697
S  0.841  0.748  0.303
S  0.700  0.333  0.738
S  0.700  0.667  0.262
S  0.811  0.396  0.806
S  0.811  0.604  0.194
S  0.897  0.532  0.728
S  0.897  0.468  0.272
S  0.747  0.645  0.708
S  0.747  0.355  0.292
S  0.763  0.702  0.797
S  0.763  0.298  0.203
S  0.900  0.175  0.241
S  0.900  0.825  0.759
S  0.377  0.111  0.286
S  0.377  0.889  0.714
S  0.220  0.012  0.281
S  0.220  0.988  0.719
S  0.282  0.047  0.803
S  0.282  0.953  0.197
S  0.400  0.177  0.743
S  0.400  0.823  0.257
S  0.264  0.300  0.702
S  0.264  0.700  0.298
S  0.244  0.359  0.791
S  0.244  0.641  0.209
S  0.396  0.470  0.773
S  0.396  0.530  0.227
S  0.315  0.606  0.694
S  0.315  0.394  0.306
S  0.201  0.670  0.761
S  0.201  0.330  0.239
S  0.339  0.748  0.805
S  0.339  0.252  0.195
S  0.612  0.780  0.945
S  0.612  0.220  0.055
S  0.704  0.160  0.979
S  0.704  0.840  0.021
S  0.554  0.071  0.953
S  0.554  0.929  0.047
S  0.511  0.353  0.984
S  0.511  0.647  0.016
S  0.656  0.471  0.955
S  0.656  0.529  0.045
S  0.177  0.814  0.964
S  0.177  0.186  0.036
S  0.138  0.127  0.949
S  0.138  0.873  0.051
S  0.021  0.708  0.972
S  0.021  0.292  0.028
S  0.084  0.431  0.943
S  0.084  0.569  0.057

Which of them is most stable? Easy: run two.

Run one
S after structural relaxation. Source: the Materials Project, functional r²SCAN.

Values from the calculation:
As for the mass density: 1.9 Mg/m³.

Cell: 8.941 13.558 18.811 Å, 90.00 90.00 90.00°
Positions (direct):
S  0.284  0.977  0.552
S  0.635  0.735  0.235
S  0.774  0.296  0.553
S  0.226  0.704  0.447
S  0.527  0.802  0.318
S  0.061  0.102  0.073
S  0.216  0.977  0.448
S  0.784  0.023  0.552
S  0.561  0.398  0.427
S  0.716  0.523  0.052
S  0.726  0.796  0.053
S  0.865  0.235  0.735
S  0.818  0.405  0.101
S  0.667  0.791  0.405
S  0.865  0.735  0.765
S  0.332  0.471  0.593
S  0.168  0.471  0.407
S  0.832  0.529  0.593
S  0.911  0.087  0.739
S  0.682  0.905  0.601
S  0.726  0.296  0.447
S  0.274  0.704  0.553
S  0.635  0.235  0.265
S  0.561  0.898  0.073
S  0.746  0.023  0.196
S  0.473  0.198  0.682
S  0.027  0.198  0.318
S  0.774  0.796  0.947
S  0.754  0.523  0.696
S  0.716  0.023  0.448
S  0.832  0.029  0.907
S  0.784  0.523  0.948
S  0.682  0.405  0.899
S  0.527  0.302  0.182
S  0.216  0.477  0.052
S  0.318  0.095  0.399
S  0.333  0.209  0.595
S  0.589  0.087  0.261
S  0.667  0.291  0.095
S  0.333  0.709  0.905
S  0.973  0.302  0.818
S  0.818  0.905  0.399
S  0.746  0.523  0.304
S  0.274  0.204  0.947
S  0.061  0.602  0.427
S  0.135  0.265  0.235
S  0.939  0.898  0.927
S  0.973  0.802  0.682
S  0.089  0.913  0.261
S  0.284  0.477  0.948
S  0.226  0.204  0.053
S  0.318  0.595  0.101
S  0.332  0.971  0.907
S  0.365  0.265  0.765
S  0.668  0.529  0.407
S  0.167  0.209  0.405
S  0.254  0.977  0.804
S  0.182  0.595  0.899
S  0.668  0.029  0.093
S  0.167  0.709  0.095
S  0.439  0.102  0.927
S  0.254  0.477  0.696
S  0.754  0.023  0.804
S  0.246  0.977  0.196
S  0.833  0.791  0.595
S  0.411  0.913  0.739
S  0.246  0.477  0.304
S  0.833  0.291  0.905
S  0.027  0.698  0.182
S  0.939  0.398  0.573
S  0.473  0.698  0.818
S  0.089  0.413  0.239
S  0.168  0.971  0.093
S  0.365  0.765  0.735
S  0.439  0.602  0.573
S  0.411  0.413  0.761
S  0.182  0.095  0.601
S  0.135  0.765  0.265
S  0.589  0.587  0.239
S  0.911  0.587  0.761

Run two
S after structural relaxation. Source: the Materials Project, functional r²SCAN.

Values from the calculation:
As for the mass density: 2.0 Mg/m³.

Cell: 8.141 14.213 17.440 Å, 90.00 103.19 90.00°
Positions (direct):
S  0.386  0.018  0.359
S  0.767  0.479  0.628
S  0.225  0.757  0.349
S  0.614  0.982  0.641
S  0.211  0.320  0.642
S  0.775  0.257  0.151
S  0.789  0.820  0.858
S  0.606  0.879  0.559
S  0.006  0.472  0.128
S  0.775  0.243  0.651
S  0.140  0.267  0.328
S  0.833  0.419  0.879
S  0.014  0.798  0.099
S  0.167  0.919  0.621
S  0.291  0.650  0.427
S  0.709  0.150  0.073
S  0.211  0.180  0.142
S  0.049  0.677  0.038
S  0.862  0.506  0.206
S  0.860  0.767  0.172
S  0.138  0.494  0.794
S  0.405  0.734  0.782
S  0.394  0.121  0.441
S  0.632  0.706  0.857
S  0.049  0.823  0.538
S  0.748  0.583  0.438
S  0.595  0.234  0.718
S  0.291  0.850  0.927
S  0.394  0.379  0.941
S  0.862  0.994  0.706
S  0.951  0.323  0.962
S  0.833  0.081  0.379
S  0.994  0.528  0.872
S  0.614  0.518  0.141
S  0.411  0.504  0.307
S  0.632  0.794  0.357
S  0.386  0.248  0.890
S  0.252  0.417  0.562
S  0.140  0.233  0.828
S  0.994  0.972  0.372
S  0.386  0.252  0.390
S  0.411  0.996  0.807
S  0.368  0.206  0.643
S  0.638  0.467  0.376
S  0.006  0.028  0.628
S  0.589  0.496  0.693
S  0.362  0.967  0.124
S  0.606  0.621  0.059
S  0.748  0.917  0.938
S  0.368  0.294  0.143
S  0.589  0.004  0.193
S  0.595  0.266  0.218
S  0.014  0.702  0.599
S  0.252  0.083  0.062
S  0.386  0.482  0.859
S  0.860  0.733  0.672
S  0.233  0.979  0.872
S  0.362  0.533  0.624
S  0.225  0.743  0.849
S  0.789  0.680  0.358
S  0.986  0.202  0.901
S  0.167  0.581  0.121
S  0.138  0.006  0.294
S  0.638  0.033  0.876
S  0.614  0.752  0.110
S  0.233  0.521  0.372
S  0.951  0.177  0.462
S  0.709  0.350  0.573
S  0.986  0.298  0.401
S  0.405  0.766  0.282
S  0.767  0.021  0.128
S  0.614  0.748  0.610

Which of them is most stable? Easy: run one.